Entry 1:
## TiS2 (PBE-GGA)

Data for a geometry-optimized TiS2 structure.

Results
Energy relative to the elements: -1.60 eV per atom
Energy: -19.98 eV for the cell shown

Cell lengths 3.4201, 3.4201, 11.3273 Å; angles 94.73, 94.73, 60.00 degrees
With the nearest neighbours (Å) after each atom.
Atoms (fractional coordinates):
Ti (0.0000, 0.0000, 0.0000)  6 S 2.43
S (0.3104, 0.3104, 0.8745)  3 Ti 2.43
S (0.6896, 0.6896, 0.1255)  3 Ti 2.43

***

Entry 2:
## PtRh3 (PBE-GGA)

Data for a geometry-optimized PtRh3 structure.

Results
Energy relative to the elements: 0.00 eV per atom
Energy: -28.17 eV for the cell shown

Cell lengths 4.7432, 4.7432, 4.7432 Å; angles 131.71, 131.71, 70.69 degrees
With the nearest neighbours (Å) after each atom.
Atoms (fractional coordinates):
Pt (0.0000, 0.0000, 0.0000)  12 Rh 2.74
Rh (0.2500, 0.7500, 0.5000)  8 Rh 2.74, 4 Pt 2.74
Rh (0.5000, 0.5000, 0.0000)  8 Rh 2.74, 4 Pt 2.74
Rh (0.7500, 0.2500, 0.5000)  8 Rh 2.74, 4 Pt 2.74

***

Entry 3:
## SrH12Cl2O6 (PBE-GGA)

Data for a geometry-optimized SrH12Cl2O6 structure.

Results
Total magnetic moment: 0.00 μB/atom
Energy relative to the elements: -1.44 eV per atom
Energy: -101.80 eV for the cell shown

Cell lengths 7.9970, 7.9970, 4.1958 Å; angles 90.00, 90.00, 120.00 degrees
With the nearest neighbours (Å) after each atom.
Atoms (fractional coordinates):
Sr (0.0000, 0.0000, 0.0000)  9 O 2.57-2.76
H (0.0998, 0.4447, 0.0931)  1 O 0.99
H (0.1128, 0.7561, 0.5028)  1 O 0.99
H (0.2439, 0.3567, 0.5028)  1 O 0.99
H (0.3449, 0.9002, 0.0931)  1 O 0.99
H (0.3567, 0.2439, 0.4972)  1 O 0.99
H (0.4447, 0.0998, 0.9069)  1 O 0.99
H (0.5553, 0.6551, 0.0931)  1 O 0.99
H (0.6433, 0.8872, 0.5028)  1 O 0.99
H (0.6551, 0.5553, 0.9069)  1 O 0.99
H (0.7561, 0.1128, 0.4972)  1 O 0.99
H (0.8872, 0.6433, 0.4972)  1 O 0.99
H (0.9002, 0.3449, 0.9069)  1 O 0.99
Cl (0.3333, 0.6667, 0.3812)  6 H 2.19-2.27
Cl (0.6667, 0.3333, 0.6188)  6 H 2.19-2.27
O (0.0000, 0.3217, 0.0000)  2 H 0.99
O (0.0000, 0.7753, 0.5000)  2 H 0.99
O (0.2247, 0.2247, 0.5000)  2 H 0.99
O (0.3217, 0.0000, 0.0000)  2 H 0.99
O (0.6783, 0.6783, 0.0000)  2 H 0.99
O (0.7753, 0.0000, 0.5000)  2 H 0.99

***

Entry 4:
## Cs2B12OF12 (PBE-GGA)

Data for a geometry-optimized Cs2B12OF12 structure.

Results
Total magnetic moment: 0.00 μB/atom
Energy relative to the elements: -1.91 eV per atom
Energy: -621.24 eV for the cell shown

Cell lengths 9.9950, 10.5316, 15.4076 Å; angles 90.00, 90.00, 90.00 degrees
With the nearest neighbours (Å) after each atom.
Atoms (fractional coordinates):
Cs (0.0429, 0.0048, 0.3850)  11 F 3.15-3.49
Cs (0.0819, 0.1865, 0.7110)  6 F 3.17-3.47, 2 O 3.22-3.39
Cs (0.4181, 0.8135, 0.2110)  6 F 3.17-3.47, 2 O 3.22-3.39
Cs (0.4571, 0.9952, 0.8850)  11 F 3.15-3.49
Cs (0.5429, 0.4952, 0.6150)  11 F 3.15-3.49
Cs (0.5819, 0.3135, 0.2890)  6 F 3.17-3.47, 2 O 3.22-3.39
Cs (0.9181, 0.6865, 0.7890)  6 F 3.17-3.47, 2 O 3.22-3.39
Cs (0.9571, 0.5048, 0.1150)  11 F 3.15-3.49
B (0.0021, 0.4258, 0.3718)  1 F 1.40
B (0.0072, 0.5963, 0.3737)  1 F 1.39
B (0.0268, 0.3697, 0.4803)  1 F 1.40
B (0.0340, 0.6463, 0.4839)  1 F 1.39
B (0.0440, 0.5057, 0.5491)  1 F 1.40
B (0.0727, 0.0105, 0.0389)  1 F 1.39
B (0.1525, 0.5082, 0.3401)  1 F 1.39
B (0.1641, 0.3683, 0.4053)  1 F 1.40
B (0.1719, 0.6439, 0.4091)  1 F 1.40
B (0.1892, 0.4187, 0.5156)  1 F 1.40
B (0.1946, 0.5883, 0.5182)  1 F 1.39
B (0.2312, 0.4968, 0.9286)  1 F 1.40
B (0.2688, 0.5032, 0.4286)  1 F 1.40
B (0.3054, 0.4117, 0.0182)  1 F 1.39
B (0.3108, 0.5813, 0.0156)  1 F 1.40
B (0.3281, 0.3561, 0.9091)  1 F 1.40
B (0.3359, 0.6317, 0.9053)  1 F 1.40
B (0.3475, 0.4918, 0.8401)  1 F 1.39
B (0.4273, 0.9895, 0.5389)  1 F 1.39
B (0.4560, 0.4943, 0.0491)  1 F 1.40
B (0.4660, 0.3537, 0.9839)  1 F 1.39
B (0.4732, 0.6303, 0.9803)  1 F 1.40
B (0.4928, 0.4037, 0.8737)  1 F 1.39
B (0.4979, 0.5742, 0.8718)  1 F 1.40
B (0.5021, 0.0742, 0.6282)  1 F 1.40
B (0.5072, 0.9037, 0.6263)  1 F 1.39
B (0.5268, 0.1303, 0.5197)  1 F 1.40
B (0.5340, 0.8537, 0.5161)  1 F 1.39
B (0.5440, 0.9943, 0.4509)  1 F 1.40
B (0.5727, 0.4895, 0.9611)  1 F 1.39
B (0.6525, 0.9918, 0.6599)  1 F 1.39
B (0.6641, 0.1317, 0.5947)  1 F 1.40
B (0.6719, 0.8561, 0.5909)  1 F 1.40
B (0.6892, 0.0813, 0.4844)  1 F 1.40
B (0.6946, 0.9117, 0.4818)  1 F 1.39
B (0.7312, 0.0032, 0.0714)  1 F 1.40
B (0.7688, 0.9968, 0.5714)  1 F 1.40
B (0.8054, 0.0883, 0.9818)  1 F 1.39
B (0.8108, 0.9187, 0.9844)  1 F 1.40
B (0.8281, 0.1439, 0.0909)  1 F 1.40
B (0.8359, 0.8683, 0.0947)  1 F 1.40
B (0.8475, 0.0082, 0.1599)  1 F 1.39
B (0.9273, 0.5105, 0.4611)  1 F 1.39
B (0.9560, 0.0057, 0.9509)  1 F 1.40
B (0.9660, 0.1463, 0.0161)  1 F 1.39
B (0.9732, 0.8697, 0.0197)  1 F 1.40
B (0.9928, 0.0963, 0.1263)  1 F 1.39
B (0.9979, 0.9258, 0.1282)  1 F 1.40
O (0.1303, 0.8686, 0.6923)  7 F 3.08-3.44, 2 Cs 3.22-3.39
O (0.3697, 0.1314, 0.1923)  7 F 3.08-3.44, 2 Cs 3.22-3.39
O (0.6303, 0.6314, 0.3077)  7 F 3.08-3.44, 2 Cs 3.22-3.39
O (0.8697, 0.3686, 0.8077)  7 F 3.08-3.44, 2 Cs 3.22-3.39
F (0.0023, 0.5022, 0.6359)  1 B 1.40
F (0.0097, 0.2613, 0.9827)  1 B 1.39
F (0.0227, 0.7553, 0.9870)  1 B 1.40
F (0.0643, 0.1661, 0.1874)  1 B 1.39
F (0.0764, 0.8626, 0.1898)  1 B 1.40
F (0.0932, 0.5029, 0.9146)  1 B 1.40
F (0.1960, 0.5117, 0.2541)  1 B 1.39
F (0.2106, 0.0115, 0.0264)  1 B 1.39
F (0.2160, 0.2543, 0.3736)  1 B 1.40
F (0.2284, 0.7567, 0.3774)  1 B 1.40
F (0.2316, 0.3479, 0.0805)  1 B 1.39
F (0.2420, 0.6543, 0.0769)  1 B 1.40
F (0.2580, 0.3457, 0.5769)  1 B 1.40
F (0.2684, 0.6521, 0.5805)  1 B 1.39
F (0.2716, 0.2433, 0.8774)  1 B 1.40
F (0.2840, 0.7457, 0.8736)  1 B 1.40
F (0.2894, 0.9885, 0.5264)  1 B 1.39
F (0.3040, 0.4883, 0.7541)  1 B 1.39
F (0.4068, 0.4971, 0.4146)  1 B 1.40
F (0.4236, 0.1374, 0.6898)  1 B 1.40
F (0.4357, 0.8339, 0.6874)  1 B 1.39
F (0.4773, 0.2447, 0.4870)  1 B 1.40
F (0.4903, 0.7387, 0.4827)  1 B 1.39
F (0.4977, 0.4978, 0.1359)  1 B 1.40
F (0.5023, 0.9978, 0.3641)  1 B 1.40
F (0.5097, 0.2387, 0.0173)  1 B 1.39
F (0.5227, 0.7447, 0.0130)  1 B 1.40
F (0.5643, 0.3339, 0.8126)  1 B 1.39
F (0.5764, 0.6374, 0.8102)  1 B 1.40
F (0.5932, 0.9971, 0.0854)  1 B 1.40
F (0.6960, 0.9883, 0.7459)  1 B 1.39
F (0.7106, 0.4885, 0.9736)  1 B 1.39
F (0.7160, 0.2457, 0.6264)  1 B 1.40
F (0.7284, 0.7433, 0.6226)  1 B 1.40
F (0.7316, 0.1521, 0.9195)  1 B 1.39
F (0.7420, 0.8457, 0.9231)  1 B 1.40
F (0.7580, 0.1543, 0.4231)  1 B 1.40
F (0.7684, 0.8479, 0.4195)  1 B 1.39
F (0.7716, 0.2567, 0.1226)  1 B 1.40
F (0.7840, 0.7543, 0.1264)  1 B 1.40
F (0.7894, 0.5115, 0.4736)  1 B 1.39
F (0.8040, 0.0117, 0.2459)  1 B 1.39
F (0.9068, 0.0029, 0.5854)  1 B 1.40
F (0.9236, 0.3626, 0.3102)  1 B 1.40
F (0.9357, 0.6661, 0.3126)  1 B 1.39
F (0.9773, 0.2553, 0.5130)  1 B 1.40
F (0.9903, 0.7613, 0.5173)  1 B 1.39
F (0.9977, 0.0022, 0.8641)  1 B 1.40

***

Entry 5:
## Sr2CdPt2 (PBE-GGA)

Data for a geometry-optimized Sr2CdPt2 structure.

Results
Energy relative to the elements: -0.74 eV per atom
Energy: -20.17 eV for the cell shown

Cell lengths 5.9848, 5.9848, 5.9848 Å; angles 134.86, 119.97, 78.17 degrees
With the nearest neighbours (Å) after each atom.
Atoms (fractional coordinates):
Sr (0.2000, 0.2000, 0.0000)  6 Pt 3.23-3.25, 4 Cd 3.52-3.61
Sr (0.8000, 0.8000, 0.0000)  6 Pt 3.23-3.25, 4 Cd 3.52-3.61
Cd (0.5000, 0.0000, 0.5000)  4 Pt 2.82
Pt (0.2270, 0.5000, 0.7270)  1 Pt 2.72, 2 Cd 2.82
Pt (0.7730, 0.5000, 0.2730)  1 Pt 2.72, 2 Cd 2.82

***

Entry 6:
## TiCrCuS4 (PBE-GGA)

Data for a geometry-optimized TiCrCuS4 structure.

Results
Total magnetic moment: 0.43 μB/atom
Energy above the lowest structure with this stoichiometry: 0.7 meV per atom
Energy relative to the elements: -1.19 eV per atom
Energy: -88.97 eV for the cell shown

Cell lengths 7.0404, 7.0404, 7.0404 Å; angles 118.97, 90.11, 120.92 degrees
With the nearest neighbours (Å) after each atom.
Atoms (fractional coordinates):
Ti (0.2407, 0.2500, 0.4907)  6 S 2.38-2.50
Ti (0.7593, 0.7500, 0.5093)  6 S 2.38-2.50
Cr (0.2423, 0.2423, 0.0000)  6 S 2.41-2.43
Cr (0.2423, 0.7423, 0.5000)  6 S 2.41-2.43
Cu (0.6059, 0.9848, 0.1211)  4 S 2.25-2.28
Cu (0.8637, 0.4848, 0.8789)  4 S 2.25-2.28
S (0.0035, 0.2378, 0.7458)  1 Cu 2.25, 2 Ti 2.43-2.46, 1 Cr 2.43
S (0.0035, 0.7577, 0.2657)  1 Cu 2.25, 2 Ti 2.43-2.46, 1 Cr 2.43
S (0.0039, 0.7551, 0.7488)  1 Cu 2.28, 1 Ti 2.38, 2 Cr 2.43
S (0.0063, 0.2551, 0.2512)  1 Cu 2.28, 1 Ti 2.38, 2 Cr 2.43
S (0.4661, 0.2242, 0.7419)  1 Cu 2.26, 2 Cr 2.41, 1 Ti 2.50
S (0.4823, 0.7242, 0.2581)  1 Cu 2.26, 2 Cr 2.41, 1 Ti 2.50
S (0.4920, 0.2577, 0.2542)  1 Cu 2.25, 2 Ti 2.43-2.46, 1 Cr 2.43
S (0.4920, 0.7378, 0.7343)  1 Cu 2.25, 2 Ti 2.43-2.46, 1 Cr 2.43

***

Entry 7:
## Ca2SnS4 (PBE-GGA)

Data for a geometry-optimized Ca2SnS4 structure.

Results
Total magnetic moment: 0.00 μB/atom
Energy above the lowest structure with this stoichiometry: 122.8 meV per atom
Energy relative to the elements: -1.56 eV per atom
Energy: -133.79 eV for the cell shown

Cell lengths 7.0190, 8.6575, 12.8038 Å; angles 90.00, 114.27, 90.00 degrees
With the nearest neighbours (Å) after each atom.
Atoms (fractional coordinates):
Ca (0.0212, 0.0041, 0.3105)  5 S 2.81-3.05
Ca (0.0212, 0.4959, 0.8105)  5 S 2.81-3.05
Ca (0.2752, 0.6321, 0.5633)  5 S 2.83-2.90
Ca (0.2752, 0.8679, 0.0633)  5 S 2.83-2.90
Ca (0.7248, 0.1321, 0.9367)  5 S 2.83-2.90
Ca (0.7248, 0.3679, 0.4367)  5 S 2.83-2.90
Ca (0.9788, 0.5041, 0.1895)  5 S 2.81-3.05
Ca (0.9788, 0.9959, 0.6895)  5 S 2.81-3.05
Sn (0.3683, 0.2189, 0.5819)  4 S 2.37-2.43
Sn (0.3683, 0.2811, 0.0819)  4 S 2.37-2.43
Sn (0.6317, 0.7189, 0.9181)  4 S 2.37-2.43
Sn (0.6317, 0.7811, 0.4181)  4 S 2.37-2.43
S (0.1145, 0.1424, 0.1295)  1 Sn 2.43
S (0.1145, 0.3576, 0.6295)  1 Sn 2.43
S (0.2606, 0.5420, 0.0458)  1 Sn 2.37
S (0.2606, 0.9580, 0.5458)  1 Sn 2.37
S (0.2756, 0.7344, 0.7781)  1 Sn 2.41
S (0.2756, 0.7656, 0.2781)  1 Sn 2.41
S (0.3018, 0.1468, 0.9041)  1 Sn 2.42
S (0.3018, 0.3532, 0.4041)  1 Sn 2.42
S (0.6982, 0.6468, 0.5959)  1 Sn 2.42
S (0.6982, 0.8532, 0.0959)  1 Sn 2.42
S (0.7244, 0.2344, 0.7219)  1 Sn 2.41
S (0.7244, 0.2656, 0.2219)  1 Sn 2.41
S (0.7394, 0.0420, 0.4542)  1 Sn 2.37
S (0.7394, 0.4580, 0.9542)  1 Sn 2.37
S (0.8855, 0.6424, 0.3705)  1 Sn 2.43
S (0.8855, 0.8576, 0.8705)  1 Sn 2.43

***

Entry 8:
## PuRu3C (PBE-GGA)

Data for a geometry-optimized PuRu3C structure.

Results
Total magnetic moment: 0.02 μB/atom
Energy relative to the elements: 0.23 eV per atom
Energy: -50.15 eV for the cell shown

Cell lengths 4.1671, 4.1671, 4.1671 Å; angles 90.00, 90.00, 90.00 degrees
With the nearest neighbours (Å) after each atom.
Atoms (fractional coordinates):
Pu (0.0000, 0.0000, 0.0000)  12 Ru 2.95
Ru (0.0000, 0.5000, 0.5000)  2 C 2.08
Ru (0.5000, 0.0000, 0.5000)  2 C 2.08
Ru (0.5000, 0.5000, 0.0000)  2 C 2.08
C (0.5000, 0.5000, 0.5000)  6 Ru 2.08

***

Among the records above, which one has the highest energy? TiS2

***

Among the records above, which one has the highest energy? TiS2

***

Repeat the third record exactly.
## SrH12Cl2O6 (PBE-GGA)

Data for a geometry-optimized SrH12Cl2O6 structure.

Results
Total magnetic moment: 0.00 μB/atom
Energy relative to the elements: -1.44 eV per atom
Energy: -101.80 eV for the cell shown

Cell lengths 7.9970, 7.9970, 4.1958 Å; angles 90.00, 90.00, 120.00 degrees
With the nearest neighbours (Å) after each atom.
Atoms (fractional coordinates):
Sr (0.0000, 0.0000, 0.0000)  9 O 2.57-2.76
H (0.0998, 0.4447, 0.0931)  1 O 0.99
H (0.1128, 0.7561, 0.5028)  1 O 0.99
H (0.2439, 0.3567, 0.5028)  1 O 0.99
H (0.3449, 0.9002, 0.0931)  1 O 0.99
H (0.3567, 0.2439, 0.4972)  1 O 0.99
H (0.4447, 0.0998, 0.9069)  1 O 0.99
H (0.5553, 0.6551, 0.0931)  1 O 0.99
H (0.6433, 0.8872, 0.5028)  1 O 0.99
H (0.6551, 0.5553, 0.9069)  1 O 0.99
H (0.7561, 0.1128, 0.4972)  1 O 0.99
H (0.8872, 0.6433, 0.4972)  1 O 0.99
H (0.9002, 0.3449, 0.9069)  1 O 0.99
Cl (0.3333, 0.6667, 0.3812)  6 H 2.19-2.27
Cl (0.6667, 0.3333, 0.6188)  6 H 2.19-2.27
O (0.0000, 0.3217, 0.0000)  2 H 0.99
O (0.0000, 0.7753, 0.5000)  2 H 0.99
O (0.2247, 0.2247, 0.5000)  2 H 0.99
O (0.3217, 0.0000, 0.0000)  2 H 0.99
O (0.6783, 0.6783, 0.0000)  2 H 0.99
O (0.7753, 0.0000, 0.5000)  2 H 0.99

***

What is the energy relative to the elements in the fourth record? -1.91 eV per atom